Density functional theory data (r2SCAN) for an optimized crystal structure of Mn3Al10.

Results
The space group is No. 194. For the total energy, the calculation gives -8.811 eV/atom. The formation energy from the elements is -5.62 kcal/mol of atoms.

a = 7.499 Å, b = 7.499 Å, c = 7.828 Å
α = 90.00°, β = 90.00°, γ = 120.00°
Fractional positions:
Mn  0.119  0.237  0.250
Mn  0.119  0.881  0.250
Mn  0.237  0.119  0.750
Mn  0.763  0.881  0.250
Mn  0.881  0.119  0.750
Mn  0.881  0.763  0.750
Al  0.000  0.000  0.000
Al  0.000  0.000  0.500
Al  0.087  0.544  0.250
Al  0.202  0.405  0.563
Al  0.202  0.405  0.937
Al  0.202  0.798  0.563
Al  0.202  0.798  0.937
Al  0.405  0.202  0.063
Al  0.405  0.202  0.437
Al  0.456  0.544  0.250
Al  0.456  0.913  0.250
Al  0.544  0.087  0.750
Al  0.544  0.456  0.750
Al  0.595  0.798  0.563
Al  0.595  0.798  0.937
Al  0.798  0.202  0.063
Al  0.798  0.202  0.437
Al  0.798  0.595  0.063
Al  0.798  0.595  0.437
Al  0.913  0.456  0.750

Density functional theory data (r2SCAN) for an optimized crystal structure of Mn8Nb3Al.

Results
The space group is No. 156. For the total energy, the calculation gives -16.610 eV/atom. The formation energy from the elements is -1.76 kcal/mol of atoms.

a = 4.899 Å, b = 4.899 Å, c = 7.853 Å
α = 90.00°, β = 90.00°, γ = 120.00°
Fractional positions:
Mn  0.000  0.000  0.000
Mn  0.000  0.000  0.495
Mn  0.168  0.336  0.744
Mn  0.168  0.832  0.744
Mn  0.340  0.170  0.246
Mn  0.664  0.832  0.744
Mn  0.830  0.170  0.246
Mn  0.830  0.660  0.246
Nb  0.333  0.667  0.055
Nb  0.333  0.667  0.436
Nb  0.667  0.333  0.924
Al  0.667  0.333  0.557

Density functional theory data (r2SCAN) for an optimized crystal structure of MnAl2Ni.

Results
The space group is No. 123. For the total energy, the calculation gives -10.564 eV/atom. The formation energy from the elements is -12.26 kcal/mol of atoms.

a = 2.807 Å, b = 2.807 Å, c = 6.445 Å
α = 90.00°, β = 90.00°, γ = 90.00°
Fractional positions:
Mn  0.000  0.000  0.000
Al  0.500  0.500  0.271
Al  0.500  0.500  0.729
Ni  0.000  0.000  0.500

Density functional theory data (r2SCAN) for an optimized crystal structure of PaMn2Al.

Results
The space group is No. 225. For the total energy, the calculation gives -28.392 eV/atom. The formation energy from the elements is -3.54 kcal/mol of atoms.

a = 4.575 Å, b = 4.575 Å, c = 4.575 Å
α = 60.00°, β = 60.00°, γ = 60.00°
Fractional positions:
Pa  0.000  0.000  0.000
Mn  0.250  0.250  0.250
Mn  0.750  0.750  0.750
Al  0.500  0.500  0.500

Density functional theory data (r2SCAN) for an optimized crystal structure of Sc3Mn3Al7Si5.

Results
The space group is No. 194. For the total energy, the calculation gives -9.884 eV/atom. The formation energy from the elements is -11.11 kcal/mol of atoms.

a = 8.276 Å, b = 8.276 Å, c = 8.910 Å
α = 90.00°, β = 90.00°, γ = 120.00°
Fractional positions:
Sc  0.200  0.400  0.250
Sc  0.200  0.800  0.250
Sc  0.400  0.200  0.750
Sc  0.600  0.800  0.250
Sc  0.800  0.200  0.750
Sc  0.800  0.600  0.750
Mn  0.000  0.500  0.000
Mn  0.000  0.500  0.500
Mn  0.500  0.000  0.000
Mn  0.500  0.000  0.500
Mn  0.500  0.500  0.000
Mn  0.500  0.500  0.500
Al  0.000  0.000  0.250
Al  0.000  0.000  0.750
Al  0.164  0.329  0.580
Al  0.164  0.329  0.920
Al  0.164  0.836  0.580
Al  0.164  0.836  0.920
Al  0.329  0.164  0.080
Al  0.329  0.164  0.420
Al  0.671  0.836  0.580
Al  0.671  0.836  0.920
Al  0.836  0.164  0.080
Al  0.836  0.164  0.420
Al  0.836  0.671  0.080
Al  0.836  0.671  0.420
Si  0.120  0.560  0.750
Si  0.333  0.667  0.038
Si  0.333  0.667  0.462
Si  0.440  0.560  0.750
Si  0.440  0.880  0.750
Si  0.560  0.120  0.250
Si  0.560  0.440  0.250
Si  0.667  0.333  0.538
Si  0.667  0.333  0.962
Si  0.880  0.440  0.250

Density functional theory data (r2SCAN) for an optimized crystal structure of Mn3Al9Si.

Results
The space group is No. 194. For the total energy, the calculation gives -8.992 eV/atom. The formation energy from the elements is -6.19 kcal/mol of atoms.

a = 7.467 Å, b = 7.467 Å, c = 7.711 Å
α = 90.00°, β = 90.00°, γ = 120.00°
Fractional positions:
Mn  0.117  0.233  0.250
Mn  0.117  0.883  0.250
Mn  0.233  0.117  0.750
Mn  0.767  0.883  0.250
Mn  0.883  0.117  0.750
Mn  0.883  0.767  0.750
Al  0.083  0.542  0.250
Al  0.203  0.406  0.562
Al  0.203  0.406  0.938
Al  0.203  0.797  0.562
Al  0.203  0.797  0.938
Al  0.406  0.203  0.062
Al  0.406  0.203  0.438
Al  0.458  0.542  0.250
Al  0.458  0.917  0.250
Al  0.542  0.083  0.750
Al  0.542  0.458  0.750
Al  0.594  0.797  0.562
Al  0.594  0.797  0.938
Al  0.797  0.203  0.062
Al  0.797  0.203  0.438
Al  0.797  0.594  0.062
Al  0.797  0.594  0.438
Al  0.917  0.458  0.750
Si  0.000  0.000  0.000
Si  0.000  0.000  0.500

Density functional theory data (r2SCAN) for an optimized crystal structure of MnAl2Tc.

Results
The space group is No. 225. For the total energy, the calculation gives -13.974 eV/atom. The formation energy from the elements is -10.28 kcal/mol of atoms.

a = 4.274 Å, b = 4.274 Å, c = 4.274 Å
α = 60.00°, β = 60.00°, γ = 60.00°
Fractional positions:
Mn  0.000  0.000  0.000
Al  0.250  0.250  0.250
Al  0.750  0.750  0.750
Tc  0.500  0.500  0.500

Density functional theory data (r2SCAN) for an optimized crystal structure of Zr3Mn8Al.

Results
The space group is No. 156. For the total energy, the calculation gives -16.218 eV/atom. The formation energy from the elements is -4.17 kcal/mol of atoms.

a = 5.241 Å, b = 5.241 Å, c = 8.285 Å
α = 90.00°, β = 90.00°, γ = 120.00°
Fractional positions:
Zr  0.000  0.000  0.000
Zr  0.000  0.000  0.375
Zr  0.333  0.667  0.862
Mn  0.004  0.502  0.191
Mn  0.331  0.165  0.677
Mn  0.498  0.502  0.191
Mn  0.498  0.996  0.191
Mn  0.667  0.333  0.433
Mn  0.667  0.333  0.935
Mn  0.835  0.165  0.677
Mn  0.835  0.669  0.677
Al  0.333  0.667  0.488